Entry 1:
The following is a DFT calculation (meta-GGA r2SCAN) of crystalline KIn2F7 at its relaxed geometry.

## Properties
- Magnetic moment: 0.000 μB per cell
- Final energy: -101.751 eV per formula unit

```
data_KIn2F7
_cell_length_a 6.674
_cell_length_b 8.188
_cell_length_c 10.787
_cell_angle_alpha 90.00
_cell_angle_beta 90.00
_cell_angle_gamma 90.00
_space_group_name_H-M_alt 'P 1 21/m 1'
_space_group_IT_number 11
_space_group_name_Hall '-P 2yb'
loop_
_atom_site_label
_atom_site_fract_x
_atom_site_fract_y
_atom_site_fract_z
K1 0.248 0.250 0.250
K2 0.250 0.750 0.249
In1 0.250 0.004 0.558
In2 0.250 0.004 0.942
F1 0.061 0.519 0.107
F2 0.061 0.521 0.394
F3 0.250 0.053 0.750
F4 0.250 0.250 0.509
F5 0.250 0.250 0.991
F6 0.250 0.750 0.587
F7 0.250 0.750 0.916
F8 0.438 0.520 0.394
F9 0.439 0.519 0.107
```

***

Entry 2:
The following is a DFT calculation (meta-GGA r2SCAN) of crystalline K3InF6 at its relaxed geometry.

## Properties
- Magnetic moment: 0.000 μB per cell
- Final energy: -88.921 eV per formula unit

```
data_K3InF6
_cell_length_a 8.959
_cell_length_b 8.959
_cell_length_c 8.959
_cell_angle_alpha 90.00
_cell_angle_beta 90.00
_cell_angle_gamma 90.00
_space_group_name_H-M_alt 'P n -3'
_space_group_IT_number 201
loop_
_space_group_symop_operation_xyz
'x,y,z'
'-x,-y,-z'
'-x+1/2,-y+1/2,z'
'x+1/2,y+1/2,-z'
'x,-y+1/2,-z+1/2'
'-x,y+1/2,z+1/2'
'-x+1/2,y,-z+1/2'
'x+1/2,-y,z+1/2'
'z,x,y'
'-z,-x,-y'
'z,-x+1/2,-y+1/2'
'-z,x+1/2,y+1/2'
'-z+1/2,x,-y+1/2'
'z+1/2,-x,y+1/2'
'-z+1/2,-x+1/2,y'
'z+1/2,x+1/2,-y'
'y,z,x'
'-y,-z,-x'
'-y+1/2,z,-x+1/2'
'y+1/2,-z,x+1/2'
'-y+1/2,-z+1/2,x'
'y+1/2,z+1/2,-x'
'y,-z+1/2,-x+1/2'
'-y,z+1/2,x+1/2'
loop_
_atom_site_label
_atom_site_fract_x
_atom_site_fract_y
_atom_site_fract_z
K1 0.000 0.000 0.000
K2 0.250 0.250 0.250
K3 0.250 0.250 0.750
In1 0.000 0.000 0.500
F1 0.039 0.724 0.949
```

***

Entry 3:
The following is a DFT calculation (meta-GGA r2SCAN) of crystalline InOF at its relaxed geometry.

## Properties
- Magnetic moment: 0.000 μB per cell
- Final energy: -38.552 eV per formula unit

```
data_InOF
_cell_length_a 7.065
_cell_length_b 8.407
_cell_length_c 10.239
_cell_angle_alpha 90.00
_cell_angle_beta 90.00
_cell_angle_gamma 90.00
_space_group_name_H-M_alt 'F d d d'
_space_group_IT_number 70
loop_
_space_group_symop_operation_xyz
'x,y,z'
'-x,-y,-z'
'-x+1/4,-y+1/4,z'
'x+1/4,y+1/4,-z'
'x,-y+1/4,-z+1/4'
'-x,y+1/4,z+1/4'
'-x+1/4,y,-z+1/4'
'x+1/4,-y,z+1/4'
'x,y+1/2,z+1/2'
'-x,-y+1/2,-z+1/2'
'-x+1/4,-y+3/4,z+1/2'
'x+1/4,y+3/4,-z+1/2'
'x,-y+3/4,-z+3/4'
'-x,y+3/4,z+3/4'
'-x+1/4,y+1/2,-z+3/4'
'x+1/4,-y+1/2,z+3/4'
'x+1/2,y,z+1/2'
'-x+1/2,-y,-z+1/2'
'-x+3/4,-y+1/4,z+1/2'
'x+3/4,y+1/4,-z+1/2'
'x+1/2,-y+1/4,-z+3/4'
'-x+1/2,y+1/4,z+3/4'
'-x+3/4,y,-z+3/4'
'x+3/4,-y,z+3/4'
'x+1/2,y+1/2,z'
'-x+1/2,-y+1/2,-z'
'-x+3/4,-y+3/4,z'
'x+3/4,y+3/4,-z'
'x+1/2,-y+3/4,-z+1/4'
'-x+1/2,y+3/4,z+1/4'
'-x+3/4,y+1/2,-z+1/4'
'x+3/4,-y+1/2,z+1/4'
loop_
_atom_site_label
_atom_site_fract_x
_atom_site_fract_y
_atom_site_fract_z
In1 0.125 0.325 0.125
O1 0.125 0.125 0.262
F1 0.000 0.000 0.500
```